# 1
The following is a DFT calculation (PBE+U) of an optimized crystal structure of Co3OF5.

Unit cell a=4.6925 b=5.6992 c=7.8414 alpha=91.47 beta=90.33 gamma=90.37
Last column: nearest neighbours and their distance in Å.
Space group P1 (No. 1)
Inequivalent atoms, fractional coordinates:
Co 0.0000 0.0000 0.0000 [1 per cell]  1 O 1.98, 5 F 2.05-2.16
Co 0.0001 0.3017 0.3634 [1 per cell]  1 O 1.85, 2 F 2.04-2.05
Co 0.4478 0.1468 0.6795 [1 per cell]  2 O 1.79-1.89
Co 0.4729 0.8362 0.3513 [1 per cell]  5 F 2.02-2.19, 1 O 2.03
Co 0.4913 0.4912 0.0200 [1 per cell]  6 F 2.01-2.10
Co 0.9966 0.6712 0.6821 [1 per cell]  4 F 2.00-2.08, 1 O 2.00
O 0.1881 0.9610 0.7752 [1 per cell]  3 Co 1.79-2.00
O 0.2761 0.1171 0.4607 [1 per cell]  3 Co 1.85-2.03
F 0.1771 0.6109 0.4474 [1 per cell]  3 Co 2.04-2.05
F 0.1776 0.2936 0.1221 [1 per cell]  3 Co 2.03-2.07
F 0.2813 0.4568 0.7889 [1 per cell]  3 Co 2.01-2.10
F 0.2885 0.7898 0.1197 [1 per cell]  3 Co 2.02-2.09
F 0.6631 0.1858 0.9057 [1 per cell]  3 Co 2.04-2.10
F 0.6800 0.8515 0.5777 [1 per cell]  3 Co 2.00-2.15
F 0.6884 0.5194 0.2583 [1 per cell]  3 Co 2.08-2.19
F 0.7649 0.3467 0.5870 [1 per cell]  3 Co 2.02-2.25
F 0.7872 0.0295 0.2430 [1 per cell]  3 Co 2.04-2.16
F 0.7942 0.6933 0.9168 [1 per cell]  3 Co 2.01-2.08

Summary:
Energy in eV per atom: -5.18
Excess energy over the best structure of this formula in the dataset in kJ per mole of atoms: 1.4



# 2
The following is a DFT calculation (PBE+U) of an optimized crystal structure of CoOF.

Unit cell a=4.6832 b=2.9208 c=18.3938 alpha=90.00 beta=91.79 gamma=90.00
Last column: nearest neighbours and their distance in Å.
Space group Pm (No. 6)
Inequivalent atoms, fractional coordinates:
Co 0.0000 0.0000 0.0000 [1 per cell]  4 O 1.88-1.89
Co 0.0140 0.0000 0.2446 [1 per cell]  2 O 1.87-1.90, 4 F 2.02-2.05
Co 0.0994 0.0000 0.7461 [1 per cell]  4 O 1.87-1.88
Co 0.1944 0.0000 0.4960 [1 per cell]  3 O 1.84-1.85, 3 F 1.95-2.01
Co 0.4350 0.5000 0.1236 [1 per cell]  3 O 1.83-1.86, 3 F 1.96-2.02
Co 0.5479 0.5000 0.8722 [1 per cell]  2 O 1.91-1.92, 4 F 1.99-2.00
Co 0.5991 0.5000 0.3722 [1 per cell]  4 O 1.87-1.89
Co 0.6520 0.5000 0.6184 [1 per cell]  2 O 1.92, 4 F 1.99-2.05
O 0.1628 0.5000 0.0502 [1 per cell]  3 Co 1.83-1.88
O 0.2682 0.5000 0.7944 [1 per cell]  3 Co 1.87-1.91
O 0.2780 0.0000 0.1706 [1 per cell]  3 Co 1.86-1.87
O 0.3636 0.5000 0.5419 [1 per cell]  3 Co 1.85-1.92
O 0.4539 0.0000 0.4232 [1 per cell]  3 Co 1.84-1.87
O 0.7631 0.0000 0.3235 [1 per cell]  3 Co 1.89-1.90
O 0.8282 0.5000 0.9503 [1 per cell]  3 Co 1.89-1.92
O 0.9310 0.5000 0.6969 [1 per cell]  3 Co 1.88-1.92
F 0.2402 0.5000 0.2958 [1 per cell]  3 Co 2.02-2.16
F 0.3372 0.0000 0.9217 [1 per cell]  3 Co 2.00-2.17
F 0.4424 0.0000 0.6678 [1 per cell]  3 Co 1.99-2.19
F 0.6353 0.0000 0.0757 [1 per cell]  2 Co 1.96
F 0.7581 0.0000 0.8236 [1 per cell]  3 Co 1.99-2.17
F 0.7704 0.5000 0.1951 [1 per cell]  3 Co 2.02-2.05
F 0.8818 0.0000 0.5683 [1 per cell]  3 Co 2.01-2.05
F 0.9842 0.5000 0.4486 [1 per cell]  2 Co 1.95

Summary:
Energy in eV per atom: -5.32
Excess energy over the best structure of this formula in the dataset in kJ per mole of atoms: 2.1



# 3
The following is a DFT calculation (PBE+U) of an optimized crystal structure of CoO4F2.

Unit cell a=11.3169 b=4.7523 c=6.7706 alpha=90.00 beta=90.00 gamma=90.00
Last column: nearest neighbours and their distance in Å.
Space group Pca2_1 (No. 29)
Inequivalent atoms, fractional coordinates:
Co 0.1241 0.2085 0.0000 [4 per cell]  4 O 1.75-1.79, 2 F 1.84
O 0.0252 0.8871 0.4977 [4 per cell]  1 Co 1.75
O 0.0967 0.4561 0.8130 [4 per cell]  1 Co 1.76
O 0.1532 0.9546 0.1894 [4 per cell]  1 Co 1.79
O 0.2248 0.2965 0.5054 [4 per cell]  1 Co 1.76
F 0.0980 0.4668 0.1976 [4 per cell]  1 Co 1.84
F 0.1547 0.9448 0.8068 [4 per cell]  1 Co 1.84

Summary:
Energy in eV per atom: -3.83